Record 1
DFT (PBE-GGA) results for a geometry-optimized SmPO4 structure.

abc: 7.073 7.073 6.358
angles: 90.01 90.01 60.02
Atoms (fractional coordinates):
Sm1 0.000 0.000 0.000
Sm2 0.006 0.499 0.333
Sm3 0.501 0.994 0.667
P1 0.011 0.497 0.833
P2 0.503 0.989 0.167
P3 0.991 0.009 0.500
O1 0.048 0.816 0.349
O2 0.069 0.631 0.985
O3 0.184 0.952 0.651
O4 0.202 0.361 0.680
O5 0.362 0.184 0.315
O6 0.369 0.931 0.015
O7 0.639 0.798 0.320
O8 0.643 0.044 0.019
O9 0.797 0.064 0.650
O10 0.816 0.638 0.685
O11 0.936 0.203 0.350
O12 0.956 0.357 0.981

Results
The value obtained for the energy of formation from the pure elements is -3.458 eV per atom. The symmetry is C2 (5).


Record 2
DFT (PBE-GGA) results for a geometry-optimized NaLuS2 structure.

abc: 7.005 7.005 7.005
angles: 32.35 32.35 32.35
Atoms (fractional coordinates):
Na1 0.000 0.000 0.000
Lu1 0.500 0.500 0.500
S1 0.241 0.241 0.241
S2 0.759 0.759 0.759

Results
The value obtained for the energy of formation from the pure elements is -2.097 eV per atom. The symmetry is R-3m (166).


Record 3
DFT (PBE-GGA) results for a geometry-optimized YNiGe structure.

abc: 5.531 5.531 6.875
angles: 128.28 128.28 43.94
Atoms (fractional coordinates):
Y1 0.050 0.050 0.308
Y2 0.950 0.950 0.692
Ni1 0.329 0.329 0.274
Ni2 0.671 0.671 0.726
Ge1 0.328 0.328 0.892
Ge2 0.672 0.672 0.108

Results
The value obtained for the energy of formation from the pure elements is -0.718 eV per atom. The symmetry is C2/m (12).


Record 4
DFT (PBE-GGA) results for a geometry-optimized LiGdHg2 structure.

abc: 5.102 5.102 5.102
angles: 60.00 60.00 60.00
Atoms (fractional coordinates):
Li1 0.000 0.000 0.000
Gd1 0.500 0.500 0.500
Hg1 0.250 0.250 0.250
Hg2 0.750 0.750 0.750

Results
The value obtained for the energy of formation from the pure elements is -0.441 eV per atom. The symmetry is Fm-3m (225).


Record 5
DFT (PBE-GGA) results for a geometry-optimized Pt4SeS3 structure.

abc: 3.581 3.581 12.406
angles: 90.00 90.00 90.00
Atoms (fractional coordinates):
Pt1 0.000 0.500 0.122
Pt2 0.000 0.500 0.633
Pt3 0.500 0.000 0.367
Pt4 0.500 0.000 0.878
Se1 0.000 0.000 0.500
S1 0.000 0.000 0.000
S2 0.000 0.000 0.244
S3 0.000 0.000 0.756

Results
The value obtained for the energy of formation from the pure elements is -0.556 eV per atom. The symmetry is P-4m2 (115).


Record 6
DFT (PBE-GGA) results for a geometry-optimized BaPr structure.

abc: 4.004 4.004 6.579
angles: 90.00 90.00 120.00
Atoms (fractional coordinates):
Ba1 0.000 0.000 0.000
Pr1 0.667 0.333 0.500

Results
The value obtained for the energy of formation from the pure elements is 0.214 eV per atom. The symmetry is P-6m2 (187).


- Among the records above, which one has the lowest energy of formation from the pure elements?
  SmPO4